First-principles (PBE with a Hubbard U) data for a relaxed Li3Co2Si2O8 crystal, as listed in the Materials Project database.

Computed properties:
Energy of formation from the pure elements = -55.2 kcal/mol of atoms
ρ = 3.16 g/cm³
Distance to the lowest polymorph of the same formula = 14 meV per atom
E = -6.503 eV/atom

CIF file:
```
data_Li3Co2Si2O8
_cell_length_a 5.035
_cell_length_b 11.028
_cell_length_c 6.118
_cell_angle_alpha 90.00
_cell_angle_beta 90.12
_cell_angle_gamma 90.00
_symmetry_space_group_name_H-M 'P 1 21 1'
_symmetry_Int_Tables_number 4
loop_
_symmetry_equiv_pos_as_xyz
'x,y,z'
'-x,y+1/2,-z'
loop_
_atom_site_label
_atom_site_type_symbol
_atom_site_fract_x
_atom_site_fract_y
_atom_site_fract_z
Li1 Li 0.065 0.000 0.250
Li2 Li 0.082 0.008 0.749
Li3 Li 0.431 0.171 0.257
Co1 Co 0.078 0.753 0.493
Co2 Co 0.425 0.414 0.000
Si1 Si 0.077 0.750 0.997
Si2 Si 0.419 0.416 0.496
O1 O 0.000 0.175 0.783
O2 O 0.031 0.177 0.222
O3 O 0.044 0.392 0.999
O4 O 0.092 0.418 0.500
O5 O 0.404 0.764 0.979
O6 O 0.462 0.778 0.509
O7 O 0.474 0.989 0.278
O8 O 0.476 0.985 0.731
```